DFT (PBE) results for a relaxed ThAlCo crystal.

POSCAR file:
```
ThAlCo
1.0
1.948 4.809 -4.737
-3.591 -5.684 -2.037
-3.453 1.972 0.583
Th Al Co
3 3 3
Direct
0.580 0.000 0.000 Th
0.000 0.580 0.000 Th
0.420 0.420 0.000 Th
0.227 0.000 0.500 Al
0.000 0.227 0.500 Al
0.773 0.773 0.500 Al
0.333 0.667 0.500 Co
0.667 0.333 0.500 Co
0.000 0.000 0.000 Co
```

- Symmetry: P-62m
- Mass density: 9.22 g/cm3
- E: -59.52 eV per cell